Computed, not measured: NaLi3 after structural relaxation at the r²SCAN level of DFT.

```
8
Lattice="-4.124 4.770 -1.754 -0.870 -6.077 -2.269 -3.124 -1.139 4.247" Properties=species:S:1:pos:R:3 pbc="T T T"
Li -1.718 -1.465 0.056
Li -3.800 -0.301 2.262
Na -4.297 -3.316 1.088
Li -6.400 -0.981 0.168
Li -5.947 2.182 1.349
Li -2.171 -4.628 -1.125
Na -3.820 0.870 -0.864
Li -4.318 -2.145 -2.038
```

Summary:
E   -2.6404 eV/atom
Space-group type   No. 194
ΔE to the lowest computed polymorph   0.0 meV per atom

Computed, not measured: K2GaSb2 after structural relaxation at the r²SCAN level of DFT.

```
40
Lattice="9.210 0.000 0.000 0.000 10.408 0.000 0.000 0.000 15.146" Properties=species:S:1:pos:R:3 pbc="T T T"
K 0.816 10.094 3.555
Sb 7.973 2.602 3.065
Sb 5.842 2.602 10.638
Ga 5.368 7.806 6.138
Ga 0.763 2.602 1.435
K 6.717 0.274 0.224
K 3.789 10.094 11.128
K 0.816 5.517 3.555
Sb 1.421 2.602 9.890
Ga 3.842 2.602 9.008
Sb 3.184 2.602 2.317
Sb 3.368 7.806 4.508
Sb 0.039 2.602 14.099
Sb 6.026 7.806 12.829
K 2.492 10.134 14.922
K 7.097 4.930 7.797
Sb 4.566 2.602 6.526
Ga 8.447 7.806 13.711
K 5.421 0.313 4.018
K 3.789 5.517 11.128
Sb 4.653 7.806 1.950
Sb 9.171 7.806 1.047
Ga 2.070 2.602 12.444
K 2.112 5.478 7.349
Sb 9.161 7.806 9.523
K 8.394 0.313 11.591
Ga 7.139 7.806 2.702
K 5.421 4.890 4.018
Sb 4.556 2.602 13.196
K 7.097 0.274 7.797
Ga 6.675 7.806 10.275
Sb 7.789 7.806 5.256
Sb 0.048 2.602 5.623
K 2.112 10.134 7.349
Sb 1.237 7.806 12.081
Ga 2.535 2.602 4.871
K 2.492 5.478 14.922
K 8.394 4.890 11.591
Sb 4.644 7.806 8.620
K 6.717 4.930 0.224
```

Summary:
E   -15.5190 eV/atom
Space-group type   No. 62

Computed, not measured: SmZnAu2 after structural relaxation at the r²SCAN level of DFT.

```
4
Lattice="0.000 3.438 3.438 3.438 0.000 3.438 3.438 3.438 0.000" Properties=species:S:1:pos:R:3 pbc="T T T"
Sm 1.719 1.719 1.719
Au 3.438 3.438 3.438
Au 0.000 0.000 0.000
Zn 5.157 5.157 5.157
```

Summary:
E   -35.5893 eV/atom
Space-group type   No. 225

Computed, not measured: Nd2Ga5Cu3 after structural relaxation at the r²SCAN level of DFT.

```
10
Lattice="-1.393 -3.946 0.063 2.289 -0.754 3.422 -7.897 2.881 5.918" Properties=species:S:1:pos:R:3 pbc="T T T"
Ga -3.753 1.410 5.382
Ga -1.777 -1.579 0.841
Ga -3.695 -0.879 2.279
Cu -3.500 -0.910 4.701
Ga 0.448 -2.350 1.742
Cu -3.949 1.440 2.959
Nd -0.883 0.363 3.230
Ga -5.672 2.110 6.819
Nd -6.566 0.168 4.430
Cu 0.000 0.000 0.000
```

Summary:
E   -15.3948 eV/atom
Space-group type   No. 115

Computed, not measured: Si3Pt2 after structural relaxation at the r²SCAN level of DFT.

```
10
Lattice="3.911 0.000 0.000 -1.956 3.387 0.000 0.000 0.000 12.014" Properties=species:S:1:pos:R:3 pbc="T T T"
Si 0.000 2.258 11.238
Si 1.956 1.129 0.776
Pt 1.956 1.129 7.652
Si 0.000 0.000 3.004
Si 1.956 1.129 5.231
Pt 1.956 1.129 10.369
Pt 0.000 2.258 4.362
Pt 0.000 2.258 1.645
Si 0.000 2.258 6.783
Si 0.000 0.000 9.011
```

Summary:
E   -26.4037 eV/atom
Space-group type   No. 194

Computed, not measured: Ba2CrO4 after structural relaxation at the r²SCAN level of DFT.

```
28
Lattice="-0.968 -2.822 5.113 -5.526 -4.160 -3.342 7.119 -7.303 -2.682" Properties=species:S:1:pos:R:3 pbc="T T T"
Ba -0.532 -1.879 0.575
O 3.363 -6.395 2.248
O -2.381 -3.341 -0.582
Cr -0.919 -9.588 -0.325
Ba 1.157 -12.405 -1.486
Cr 4.284 -10.011 0.427
Cr 1.544 -4.697 -0.586
O 3.006 -10.943 -0.330
Ba -0.810 -6.509 -2.032
O 0.315 -5.245 0.556
O 1.833 -10.821 -3.911
O -1.519 -8.059 0.405
Ba 2.763 -8.642 -2.533
O 2.143 -6.225 -1.316
O -1.208 -3.463 3.000
Cr -3.659 -4.273 -1.338
O 0.310 -9.039 -1.467
Ba 1.415 -4.372 2.995
O -3.415 -4.466 -3.075
O 4.040 -9.818 2.164
O -3.889 -5.847 -0.573
O -0.164 -10.420 1.036
O -2.738 -7.889 -3.159
O 4.514 -8.437 -0.338
O 0.789 -3.864 -1.947
Ba 1.435 -7.776 1.121
Ba -0.790 -9.912 -3.906
Ba -2.138 -5.642 1.622
```

Summary:
E   -15.8722 eV/atom
Space-group type   No. 62

no.,formation energy from the elements (eV/f.u.)
1,0.163
2,-2.703
3,-2.544
4,-5.358
5,-2.722
6,-19.143